Record 1
Below is a geometry-optimized La2SiSeO4 structure, with properties calculated at the r2SCAN level.

```
32
Lattice="6.2991 0.0000 0.0000 0.0000 7.3331 0.0000 0.0000 0.0000 11.2123" Properties=species:S:1:pos:R:3 pbc="T T T"
La 0.6737 1.8333 0.0000
La 0.6737 1.8333 5.6061
La 2.3649 3.9409 2.8031
La 2.3649 7.0588 8.4092
La 3.9342 0.2743 2.8031
La 3.9342 3.3922 8.4092
La 5.6254 5.4999 0.0000
La 5.6254 5.4999 5.6061
Si 2.4469 5.4999 0.0000
Si 2.4469 5.4999 5.6061
Si 3.8522 1.8333 0.0000
Si 3.8522 1.8333 5.6061
Se 0.5049 4.4183 8.4092
Se 0.5049 6.5815 2.8031
Se 5.7942 0.7517 8.4092
Se 5.7942 2.9149 2.8031
O 1.4729 4.2405 0.3637
O 1.4729 4.2405 5.2424
O 1.4729 6.7593 5.9699
O 1.4729 6.7593 10.8485
O 2.8526 1.6989 6.9026
O 2.8526 1.6989 9.9158
O 2.8526 1.9676 1.2964
O 2.8526 1.9676 4.3097
O 3.4465 5.3655 6.9026
O 3.4465 5.3655 9.9158
O 3.4465 5.6342 1.2964
O 3.4465 5.6342 4.3097
O 4.8263 0.5739 0.3637
O 4.8263 0.5739 5.2424
O 4.8263 3.0927 5.9699
O 4.8263 3.0927 10.8485
```

Its symmetry is Pbcm (57).

Record 2
Below is a geometry-optimized La2SiO5 structure, with properties calculated at the r2SCAN level.

```
32
Lattice="7.4168 -3.5240 0.0000 7.4168 3.5240 0.0000 -5.7864 0.0000 9.4183" Properties=species:S:1:pos:R:3 pbc="T T T"
La -2.6454 0.8650 7.8325
La 3.7625 1.7648 5.0567
La 0.2478 -0.8650 3.1234
La 2.3916 1.7648 9.0708
La 6.6557 -1.7648 0.3475
La 8.7995 0.8650 6.2949
La 5.2848 -1.7648 4.3616
La 11.6927 -0.8650 1.5857
Si 0.7875 0.5961 6.4762
Si 3.6807 -0.5961 1.7671
Si 5.3666 0.5961 7.6512
Si 8.2598 -0.5961 2.9421
O 6.5622 2.8992 0.9922
O -0.7845 0.9219 6.2658
O 1.6897 1.9694 6.4727
O 5.3783 2.8992 3.7170
O 4.2184 0.3961 0.5792
O 2.1087 -0.9219 1.5566
O 4.4644 1.9694 7.6547
O 1.3253 -0.3961 5.2884
O 4.0119 0.0983 3.2186
O 1.1187 -0.0983 7.9277
O 7.9286 0.0983 1.4906
O 5.0354 -0.0983 6.1997
O 7.7221 0.3961 4.1299
O 4.5829 -1.9694 1.7636
O 6.9386 0.9219 7.8616
O 4.8289 -0.3961 8.8390
O 3.6690 -2.8992 5.7013
O 7.3576 -1.9694 2.9456
O 9.8318 -0.9219 3.1525
O 2.4852 -2.8992 8.4261
```

Its symmetry is C2/c (15).

Record 3
Below is a geometry-optimized La2SiO5 structure, with properties calculated at the r2SCAN level.

```
32
Lattice="9.2998 0.0000 0.0000 0.0000 7.5701 0.0000 -2.2546 0.0000 6.6400" Properties=species:S:1:pos:R:3 pbc="T T T"
La -0.4237 0.9462 1.5485
La -1.5511 2.8388 4.8685
La 3.4093 1.1796 0.6227
La 2.2820 2.6054 3.9427
La 4.7632 4.9647 2.6973
La 3.6359 6.3905 6.0173
La 8.5962 4.7313 1.7715
La 7.4689 6.6239 5.0915
Si 2.6869 4.3609 0.2776
Si 1.5596 6.9942 3.5976
Si 5.4856 0.5759 3.0424
Si 4.3583 3.2092 6.3624
O -1.1039 0.9581 6.3258
O 0.0234 2.8270 3.0058
O -1.1220 4.7815 6.6026
O 0.0053 6.5736 3.2826
O 1.8872 0.5469 2.4349
O 0.7599 3.2382 5.7548
O 1.7082 0.2821 4.9874
O 2.8355 3.5029 1.6674
O 3.6803 5.6228 0.3496
O 2.5530 5.7324 3.6696
O 4.4922 1.8377 2.9704
O 3.3649 1.9473 6.2904
O 4.2097 4.0672 4.9726
O 5.3370 7.2880 1.6526
O 6.2853 4.3319 0.8851
O 5.1580 7.0232 4.2051
O 7.0399 0.9965 3.3574
O 8.1672 2.7886 0.0374
O 7.0218 4.7431 3.6342
O 8.1491 6.6120 0.3142
```

Its symmetry is P2_1/c (14).

Record 4
Below is a geometry-optimized La2Si2O7 structure, with properties calculated at the r2SCAN level.

```
44
Lattice="5.4533 0.0000 0.0000 0.0000 8.7751 0.0000 -5.3780 0.0000 13.1776" Properties=species:S:1:pos:R:3 pbc="T T T"
La -1.3316 1.6763 3.5294
La -4.0206 2.7112 10.1182
La -1.2804 0.9514 7.7617
La 1.4086 3.4362 1.1729
La -1.3333 5.3389 12.0046
La 1.3557 7.8237 5.4159
La 4.0959 6.0639 3.0594
La 1.4069 7.0987 9.6481
Si 1.4707 6.5405 0.3581
Si -1.2183 6.6221 6.9469
Si -1.4189 4.4467 8.9575
Si 1.2701 8.7160 2.3687
Si -1.1949 0.0591 10.8089
Si 1.4942 4.3284 4.2201
Si 1.2936 2.1530 6.2306
Si -1.3954 2.2345 12.8194
O 0.1011 5.7452 0.7579
O -2.5879 7.4174 7.3467
O -3.5975 6.4723 11.9543
O -0.9085 6.6903 5.3655
O -2.6474 5.1318 9.7724
O 0.0416 8.0308 3.1836
O -2.5507 0.2689 9.9201
O 0.1383 4.1186 3.3313
O 0.8586 1.4981 2.2833
O -1.8304 2.8894 8.8721
O -1.2297 5.0892 7.4757
O 1.4593 8.0734 0.8869
O 0.0734 1.2752 5.5458
O -2.6156 3.1123 12.1346
O 2.6909 5.6628 1.0430
O 0.0018 7.4998 7.6318
O -1.3840 0.7017 12.2907
O 1.3050 3.6858 5.7019
O 1.9057 5.8856 4.3055
O -0.7833 7.2770 10.8943
O -0.0631 4.6564 9.8462
O 2.6259 8.5062 3.2575
O 0.0337 0.7442 9.9940
O 2.7227 3.6433 3.4052
O 0.9838 2.0847 7.8121
O 3.6728 2.3028 1.2233
O 2.6632 1.3577 5.8309
O -0.0258 3.0299 12.4197
```

Its symmetry is P2_1/c (14).

Record 5
Below is a geometry-optimized LaTaO4 structure, with properties calculated at the r2SCAN level.

```
12
Lattice="1.9758 -7.3714 0.0000 1.9758 7.3714 0.0000 0.0000 0.0000 5.6456" Properties=species:S:1:pos:R:3 pbc="T T T"
La 1.9758 4.8359 2.8228
La 1.9758 -4.8359 0.0000
Ta 1.9758 1.2562 3.0886
Ta 1.9758 -1.2562 0.2658
O 1.9758 6.0877 0.4580
O 1.9758 2.9350 4.2586
O 1.9758 2.4114 1.5780
O 1.9758 0.4496 5.0237
O 1.9758 -0.4496 2.2009
O 1.9758 -2.4114 4.4008
O 1.9758 -2.9350 1.4358
O 1.9758 -6.0877 3.2808
```

Its symmetry is Cmc2_1 (36).

Record 6
Below is a geometry-optimized LaTaO4 structure, with properties calculated at the r2SCAN level.

```
24
Lattice="7.6708 0.0000 0.0000 0.0000 5.5718 0.0000 -1.5197 0.0000 7.6661" Properties=species:S:1:pos:R:3 pbc="T T T"
La 0.5736 1.2677 3.0824
La -0.1862 1.5182 6.9155
La 6.3373 4.0537 0.7507
La 5.5774 4.3041 4.5837
Ta 2.2579 4.0891 1.5057
Ta 1.4981 4.2686 5.3388
Ta 4.6530 1.3032 2.3273
Ta 3.8931 1.4827 6.1604
O 0.6504 2.8767 1.2916
O -0.1095 5.4811 5.1246
O 0.2976 2.8419 4.8748
O 1.0575 5.5159 1.0417
O 1.1119 3.6965 7.2631
O 1.8717 4.6613 3.4300
O 2.2248 0.4643 6.0662
O 2.9847 2.3217 2.2332
O 3.1664 3.2502 5.4329
O 3.9262 5.1076 1.5999
O 4.2794 0.9106 4.2361
O 5.0392 1.8753 0.4030
O 5.0936 0.0559 6.6244
O 5.8535 2.7300 2.7913
O 6.2605 0.0908 2.5415
O 5.5007 2.6951 6.3745
```

Its symmetry is P2_1/c (14).

Record 7
Below is a geometry-optimized La2Te4O11 structure, with properties calculated at the r2SCAN level.

```
34
Lattice="6.4107 -2.6522 0.0000 6.4107 2.6522 0.0000 -4.3868 0.0000 15.8911" Properties=species:S:1:pos:R:3 pbc="T T T"
La 0.6715 1.3508 15.2871
La 5.5696 1.3508 8.5496
La 2.8649 -1.3508 7.3416
La 7.7630 -1.3508 0.6040
Te 1.9666 1.4848 9.9916
Te 3.5842 1.4424 4.7252
Te 7.0437 1.4424 3.2204
Te 4.2745 1.4848 13.8451
Te 4.1600 -1.4848 2.0461
Te 1.3908 -1.4424 12.6707
Te 4.8503 -1.4424 11.1660
Te 6.4679 -1.4848 5.8995
O 4.3302 2.1361 6.3116
O 6.2978 2.1361 1.6340
O -1.4796 0.1977 14.9555
O 0.4376 0.3775 9.9931
O 0.7138 -0.1977 7.0099
O 3.0515 0.6565 8.7079
O 0.9146 0.2660 13.1546
O 2.6310 -0.3775 2.0476
O 5.3140 0.7846 3.9728
O 3.1080 -0.2660 5.2090
O 3.1896 0.6565 15.1288
O 5.2449 -0.6565 0.7624
O 5.3265 0.2660 10.6821
O 3.1205 -0.7846 11.9183
O 5.8035 0.3775 13.8436
O 7.5200 -0.2660 2.7366
O 5.3830 -0.6565 7.1832
O 7.7207 0.1977 8.8812
O 7.9969 -0.3775 5.8980
O 9.9141 -0.1977 0.9356
O 2.1367 -2.1361 14.2572
O 4.1044 -2.1361 9.5795
```

Its symmetry is C2/c (15).

Record 8
Below is a geometry-optimized La2TeO6 structure, with properties calculated at the r2SCAN level.

```
36
Lattice="5.5177 0.0000 0.0000 0.0000 9.4660 0.0000 0.0000 0.0000 10.3804" Properties=species:S:1:pos:R:3 pbc="T T T"
La 0.1432 0.9941 4.7337
La 0.1581 2.0606 8.9154
La 2.6008 7.4054 3.7252
La 2.6156 8.4720 9.9239
La 2.9021 3.7389 5.6468
La 2.9169 2.6724 1.4650
La 5.3596 6.7936 6.6552
La 5.3745 5.7271 0.4566
Te 0.2222 4.6977 3.7341
Te 2.5366 4.7684 8.9243
Te 2.9811 0.0353 6.6463
Te 5.2955 9.4307 1.4561
O 0.3755 8.0801 0.2179
O 0.9244 8.9583 2.9043
O 0.9711 6.0071 2.5615
O 1.1137 6.0274 8.5610
O 1.1932 1.0579 0.6749
O 1.3575 5.5300 5.0933
O 1.4013 3.9360 10.2835
O 1.5657 8.4081 5.8651
O 1.6452 3.4386 3.3708
O 1.7878 3.4589 7.7517
O 1.8344 0.5078 8.0945
O 2.3834 1.3859 5.4082
O 3.1343 6.1190 10.1625
O 3.6833 5.2408 7.4761
O 3.7299 8.1919 7.8189
O 3.8725 8.1717 1.8194
O 3.9520 3.6751 9.7056
O 4.1164 8.6691 5.2871
O 4.1601 0.7970 0.0969
O 4.3245 5.7910 4.5153
O 4.4040 1.2944 7.0097
O 4.5466 1.2741 2.6287
O 4.5933 4.2253 2.2859
O 5.1422 3.3471 4.9723
```

Its symmetry is P2_12_12_1 (19).

Record 9
Below is a geometry-optimized La2Th11O26 structure, with properties calculated at the r2SCAN level.

```
39
Lattice="6.8809 0.0000 0.0000 1.1469 6.7849 0.0000 2.2921 -0.3855 12.3461" Properties=species:S:1:pos:R:3 pbc="T T T"
La 2.2931 2.5206 2.8480
La 8.0268 3.8787 9.4981
Th 2.2863 0.1974 10.4425
Th 2.2931 1.3648 6.6442
Th 4.5849 3.2974 11.3961
Th 4.5883 4.4598 7.6054
Th 4.5808 5.6244 3.7991
Th 3.4404 0.0000 0.0000
Th 5.7391 0.7750 8.5470
Th 5.7316 1.9395 4.7407
Th 5.7350 3.1020 0.9500
Th 8.0268 5.0345 5.7019
Th 8.0336 6.2019 1.9036
O 1.1222 3.9199 1.1499
O 2.3328 3.6815 7.3105
O 2.2901 4.9041 3.5937
O 3.4949 4.6838 9.7430
O 4.5813 5.6378 12.1055
O 3.4391 5.8211 5.9494
O 3.4443 0.0128 8.3053
O 2.2984 0.1345 2.1138
O 4.5770 0.9586 10.6769
O 3.4679 1.1311 4.5521
O 4.5996 2.1328 6.8820
O 3.4700 2.3113 0.6542
O 5.6779 3.0733 9.2551
O 4.6420 3.3260 3.0910
O 6.8499 4.0880 11.6919
O 5.7203 4.2665 5.4641
O 6.8520 5.2683 7.7940
O 5.7429 5.4408 1.6692
O 8.0215 6.2649 10.2322
O 6.8756 6.3866 4.0408
O 6.8808 0.5782 6.3967
O 5.7386 0.7615 0.2406
O 6.8250 1.7155 2.6031
O 8.0298 1.4953 8.7524
O 7.9870 2.7178 5.0356
O 9.1977 2.4794 11.1962
```

Its symmetry is P-1 (2).

Record 10
Below is a geometry-optimized LaTh4O10 structure, with properties calculated at the r2SCAN level.

```
15
Lattice="-4.4468 4.4468 2.8099 4.4468 -4.4468 2.8099 4.4468 4.4468 -2.8099" Properties=species:S:1:pos:R:3 pbc="T T T"
La 0.0000 0.0000 0.0000
Th 3.5540 1.7813 0.0000
Th 2.6655 -0.8928 2.8099
Th 1.7813 5.3396 0.0000
Th 0.8928 2.6655 2.8099
O 5.3498 2.6254 -1.3741
O 2.6254 3.5438 -1.3741
O 4.4468 0.0000 1.4049
O 1.8214 0.9030 1.4358
O -0.9030 1.8214 1.4358
O 5.3498 2.6254 1.3741
O 2.6254 3.5438 1.3741
O 0.0000 4.4468 1.4049
O 1.8214 0.9030 4.1839
O -0.9030 1.8214 4.1839
```

Its symmetry is I4/m (87).

Record 11
Below is a geometry-optimized La6UO12 structure, with properties calculated at the r2SCAN level.

```
19
Lattice="5.2336 3.0216 3.3261 -5.2336 3.0216 3.3261 0.0000 -6.0432 3.3261" Properties=species:S:1:pos:R:3 pbc="T T T"
La -3.6806 -1.1236 5.1899
La -0.8672 -3.7493 4.7885
La -2.8134 2.6257 4.7885
La 2.8134 -2.6257 5.1899
La 0.8672 3.7493 5.1899
La 3.6806 1.1236 4.7885
U 0.0000 0.0000 4.9892
O -4.4214 0.9789 4.2998
O -3.0585 -3.3396 5.6786
O -1.1990 -1.3530 3.9253
O 1.3629 -4.3185 4.2998
O -0.5723 1.7149 3.9253
O -1.7713 0.3619 6.0531
O 1.7713 -0.3619 3.9253
O 0.5722 -1.7149 6.0531
O -1.3629 4.3185 5.6786
O 1.1990 1.3530 6.0531
O 3.0585 3.3396 4.2998
O 4.4214 -0.9789 5.6786
```

Its symmetry is R-3 (148).

Record 12
Below is a geometry-optimized LaVO4 structure, with properties calculated at the r2SCAN level.

```
12
Lattice="-3.7310 3.7310 3.2759 3.7310 -3.7310 3.2759 3.7310 3.7310 -3.2759" Properties=species:S:1:pos:R:3 pbc="T T T"
La 3.7310 1.8655 0.8190
La 0.0000 1.8655 2.4570
V 3.7310 -1.8655 2.4570
V 0.0000 5.5965 0.8190
O 3.7310 -0.5398 1.3611
O 3.7310 3.1912 -1.3611
O 1.3257 1.8655 0.2769
O 2.4053 -1.8655 3.5528
O 1.3257 5.5965 -0.2769
O 2.4053 1.8655 2.9990
O 0.0000 0.5398 4.6370
O 0.0000 4.2708 1.9149
```

Its symmetry is I4_1/amd (141).

Q: Which ΔE_f values were calculated for the entries above? A: -3.363 -3.616 -3.638 -3.512 -3.535 -3.540 -2.024 -2.795 -4.027 -3.964 -3.787 -3.280, in eV/atom.
Q: Which VASP energy values were calculated for the entries above? A: -16.671 -15.882 -15.904 -14.316 -20.573 -20.578 -15.369 -16.210 -30.258 -29.522 -21.160 -14.568, in eV/atom.